Record 1
# Na3Ca4Nb8P15S3O72 | the Materials Project | GGA-PBE | optimized geometry
data_Na3Ca4Nb8P15S3O72
_chemical_formula_sum 'Na3 Ca4 Nb8 P15 S3 O72'
_symmetry_space_group_name_H-M 'P 1'
_symmetry_Int_Tables_number 1
_symmetry_space_group_name_Hall 'P 1'
_cell_length_a 8.911
_cell_length_b 8.917
_cell_length_c 23.050
_cell_angle_alpha 89.88
_cell_angle_beta 89.81
_cell_angle_gamma 60.15
loop_
_atom_site_label
_atom_site_fract_x
_atom_site_fract_y
_atom_site_fract_z
_atom_site_occupancy
Na1 0.000 0.000 0.000 1
Na2 0.004 0.002 0.502 1
Na3 0.344 0.342 0.650 1
Ca1 0.002 0.009 0.145 1
Ca2 0.004 0.005 0.638 1
Ca3 0.341 0.342 0.514 1
Ca4 0.670 0.678 0.961 1
Nb1 0.000 0.011 0.846 1
Nb2 0.003 0.009 0.341 1
Nb3 0.329 0.348 0.016 1
Nb4 0.335 0.347 0.311 1
Nb5 0.336 0.345 0.806 1
Nb6 0.660 0.685 0.468 1
Nb7 0.661 0.685 0.685 1
Nb8 0.679 0.676 0.183 1
P1 0.003 0.717 0.744 1
P2 0.008 0.305 0.243 1
P3 0.043 0.642 0.411 1
P4 0.064 0.322 0.910 1
P5 0.291 0.015 0.743 1
P6 0.301 0.711 0.242 1
P7 0.314 0.636 0.910 1
P8 0.325 0.055 0.411 1
P9 0.389 0.677 0.577 1
P10 0.624 0.075 0.910 1
P11 0.636 0.337 0.410 1
P12 0.668 0.957 0.576 1
P13 0.701 0.017 0.243 1
P14 0.710 0.303 0.743 1
P15 0.959 0.675 0.074 1
S1 0.385 0.970 0.075 1
S2 0.660 0.394 0.075 1
S3 0.944 0.402 0.576 1
O1 0.000 0.818 0.081 1
O2 0.010 0.826 0.393 1
O3 0.054 0.152 0.903 1
O4 0.055 0.203 0.188 1
O5 0.056 0.774 0.690 1
O6 0.112 0.393 0.579 1
O7 0.138 0.495 0.068 1
O8 0.138 0.518 0.359 1
O9 0.144 0.815 0.903 1
O10 0.149 0.585 0.465 1
O11 0.151 0.530 0.759 1
O12 0.152 0.343 0.263 1
O13 0.164 0.331 0.856 1
O14 0.177 0.019 0.393 1
O15 0.178 0.298 0.965 1
O16 0.184 0.062 0.690 1
O17 0.193 0.767 0.189 1
O18 0.199 0.984 0.797 1
O19 0.206 0.010 0.082 1
O20 0.207 0.841 0.294 1
O21 0.221 0.846 0.572 1
O22 0.279 0.158 0.465 1
O23 0.289 0.546 0.965 1
O24 0.323 0.528 0.856 1
O25 0.333 0.161 0.758 1
O26 0.334 0.531 0.263 1
O27 0.358 0.148 0.359 1
O28 0.382 0.512 0.581 1
O29 0.384 0.142 0.069 1
O30 0.462 0.867 0.024 1
O31 0.471 0.653 0.912 1
O32 0.473 0.848 0.737 1
O33 0.481 0.697 0.232 1
O34 0.490 0.884 0.129 1
O35 0.491 0.388 0.070 1
O36 0.491 0.871 0.417 1
O37 0.492 0.682 0.633 1
O38 0.499 0.126 0.581 1
O39 0.499 0.667 0.521 1
O40 0.509 0.369 0.359 1
O41 0.518 0.175 0.856 1
O42 0.521 0.161 0.263 1
O43 0.522 0.343 0.758 1
O44 0.537 0.188 0.965 1
O45 0.581 0.286 0.465 1
O46 0.640 0.499 0.129 1
O47 0.640 0.901 0.911 1
O48 0.653 0.502 0.417 1
O49 0.663 0.854 0.521 1
O50 0.677 0.848 0.633 1
O51 0.680 0.475 0.024 1
O52 0.687 0.849 0.233 1
O53 0.697 0.483 0.735 1
O54 0.756 0.066 0.189 1
O55 0.770 0.192 0.690 1
O56 0.803 0.217 0.081 1
O57 0.806 0.062 0.902 1
O58 0.819 0.186 0.392 1
O59 0.832 0.209 0.797 1
O60 0.832 0.977 0.294 1
O61 0.834 0.964 0.572 1
O62 0.837 0.703 0.736 1
O63 0.839 0.487 0.233 1
O64 0.847 0.495 0.631 1
O65 0.851 0.499 0.523 1
O66 0.851 0.694 0.022 1
O67 0.861 0.658 0.418 1
O68 0.864 0.654 0.131 1
O69 0.889 0.478 0.911 1
O70 0.953 0.234 0.574 1
O71 0.971 0.212 0.294 1
O72 0.972 0.841 0.797 1
# uncorrected energy = -787.23 eV per cell
# DFT formation energy = -2.80 eV per atom

***

Record 2
# Na3Ca8Nb4P3S15O72 | the Materials Project | GGA-PBE | optimized geometry
data_Na3Ca8Nb4P3S15O72
_chemical_formula_sum 'Na3 Ca8 Nb4 P3 S15 O72'
_symmetry_space_group_name_H-M 'P 1'
_symmetry_Int_Tables_number 1
_symmetry_space_group_name_Hall 'P 1'
_cell_length_a 9.095
_cell_length_b 9.096
_cell_length_c 23.704
_cell_angle_alpha 90.12
_cell_angle_beta 90.08
_cell_angle_gamma 119.92
loop_
_atom_site_label
_atom_site_fract_x
_atom_site_fract_y
_atom_site_fract_z
_atom_site_occupancy
Na1 0.000 0.000 0.000 1
Na2 0.007 0.006 0.502 1
Na3 0.337 0.676 0.169 1
Ca1 0.001 0.000 0.147 1
Ca2 0.005 0.009 0.654 1
Ca3 0.333 0.666 0.522 1
Ca4 0.334 0.670 0.315 1
Ca5 0.338 0.671 0.024 1
Ca6 0.668 0.333 0.476 1
Ca7 0.668 0.334 0.973 1
Ca8 0.999 0.006 0.846 1
Nb1 0.330 0.663 0.814 1
Nb2 0.674 0.335 0.684 1
Nb3 0.674 0.336 0.191 1
Nb4 0.992 0.993 0.348 1
P1 0.001 0.306 0.750 1
P2 0.712 0.005 0.247 1
P3 0.998 0.708 0.247 1
S1 0.041 0.361 0.414 1
S2 0.052 0.673 0.915 1
S3 0.298 0.289 0.248 1
S4 0.310 0.002 0.750 1
S5 0.323 0.963 0.414 1
S6 0.331 0.381 0.915 1
S7 0.382 0.332 0.584 1
S8 0.386 0.053 0.085 1
S9 0.622 0.951 0.915 1
S10 0.638 0.677 0.414 1
S11 0.668 0.617 0.085 1
S12 0.671 0.049 0.584 1
S13 0.694 0.694 0.750 1
S14 0.953 0.336 0.085 1
S15 0.953 0.623 0.584 1
O1 0.023 0.813 0.196 1
O2 0.024 0.183 0.402 1
O3 0.035 0.824 0.907 1
O4 0.049 0.244 0.698 1
O5 0.116 0.627 0.584 1
O6 0.119 0.494 0.088 1
O7 0.120 0.464 0.364 1
O8 0.138 0.670 0.258 1
O9 0.145 0.427 0.465 1
O10 0.152 0.694 0.966 1
O11 0.153 0.663 0.863 1
O12 0.156 0.491 0.767 1
O13 0.163 0.982 0.402 1
O14 0.182 0.212 0.907 1
O15 0.197 0.216 0.198 1
O16 0.201 0.958 0.700 1
O17 0.214 0.179 0.299 1
O18 0.214 0.180 0.592 1
O19 0.217 0.035 0.090 1
O20 0.243 0.043 0.799 1
O21 0.283 0.859 0.465 1
O22 0.310 0.460 0.966 1
O23 0.328 0.461 0.258 1
O24 0.336 0.853 0.764 1
O25 0.341 0.492 0.863 1
O26 0.347 0.884 0.365 1
O27 0.375 0.885 0.087 1
O28 0.376 0.489 0.584 1
O29 0.461 0.311 0.534 1
O30 0.464 0.135 0.422 1
O31 0.466 0.146 0.034 1
O32 0.470 0.301 0.240 1
O33 0.484 0.151 0.736 1
O34 0.490 0.377 0.914 1
O35 0.493 0.342 0.636 1
O36 0.494 0.150 0.137 1
O37 0.510 0.627 0.087 1
O38 0.512 0.850 0.863 1
O39 0.513 0.888 0.584 1
O40 0.519 0.669 0.763 1
O41 0.535 0.862 0.258 1
O42 0.538 0.655 0.364 1
O43 0.543 0.852 0.966 1
O44 0.575 0.718 0.465 1
O45 0.628 0.114 0.915 1
O46 0.659 0.510 0.137 1
O47 0.661 0.151 0.636 1
O48 0.668 0.519 0.736 1
O49 0.672 0.538 0.421 1
O50 0.682 0.537 0.034 1
O51 0.693 0.151 0.534 1
O52 0.702 0.177 0.238 1
O53 0.761 0.802 0.700 1
O54 0.790 0.967 0.908 1
O55 0.795 0.985 0.196 1
O56 0.802 0.759 0.799 1
O57 0.818 0.788 0.089 1
O58 0.819 0.840 0.403 1
O59 0.821 0.031 0.592 1
O60 0.826 0.528 0.238 1
O61 0.833 0.031 0.301 1
O62 0.847 0.337 0.733 1
O63 0.851 0.511 0.636 1
O64 0.852 0.544 0.534 1
O65 0.855 0.346 0.137 1
O66 0.857 0.321 0.034 1
O67 0.869 0.331 0.421 1
O68 0.890 0.515 0.914 1
O69 0.955 0.197 0.801 1
O70 0.970 0.791 0.593 1
O71 0.971 0.804 0.301 1
O72 0.973 0.186 0.090 1
# uncorrected energy = -704.12 eV per cell
# DFT formation energy = -2.46 eV per atom

***

Record 3
# Na9Ca5NbP6S3O36 | the Materials Project | GGA-PBE | optimized geometry
data_Na9Ca5NbP6S3O36
_chemical_formula_sum 'Na36 Ca20 Nb4 P24 S12 O144'
_symmetry_space_group_name_H-M 'C 1 c 1'
_symmetry_Int_Tables_number 9
_symmetry_space_group_name_Hall 'C -2yc'
_cell_length_a 16.169
_cell_length_b 9.368
_cell_length_c 23.011
_cell_angle_alpha 90.00
_cell_angle_beta 90.17
_cell_angle_gamma 90.00
loop_
_atom_site_label
_atom_site_fract_x
_atom_site_fract_y
_atom_site_fract_z
_atom_site_occupancy
Na1 0.000 0.130 0.000 1
Na2 0.012 0.183 0.682 1
Na3 0.162 0.020 0.089 1
Na4 0.167 0.339 0.847 1
Na5 0.180 0.311 0.500 1
Na6 0.307 0.181 0.000 1
Na7 0.328 0.135 0.683 1
Na8 0.337 0.492 0.418 1
Na9 0.497 0.022 0.767 1
Ca1 0.000 0.496 0.110 1
Ca2 0.161 0.009 0.437 1
Ca3 0.163 0.014 0.256 1
Ca4 0.326 0.497 0.073 1
Ca5 0.328 0.491 0.281 1
Nb1 0.493 0.003 0.911 1
P1 0.007 0.167 0.848 1
P2 0.143 0.351 0.007 1
P3 0.158 0.319 0.351 1
P4 0.319 0.154 0.846 1
P5 0.348 0.147 0.513 1
P6 0.496 0.295 0.013 1
S1 0.177 0.339 0.679 1
S2 0.329 0.191 0.175 1
S3 0.479 0.355 0.676 1
O1 0.002 0.282 0.571 1
O2 0.051 0.111 0.902 1
O3 0.062 0.075 0.180 1
O4 0.063 0.151 0.794 1
O5 0.070 0.104 0.506 1
O6 0.075 0.412 0.357 1
O7 0.089 0.406 0.954 1
O8 0.091 0.397 0.679 1
O9 0.094 0.382 0.062 1
O10 0.144 0.224 0.299 1
O11 0.158 0.188 0.003 1
O12 0.171 0.237 0.408 1
O13 0.172 0.178 0.679 1
O14 0.222 0.381 0.625 1
O15 0.222 0.388 0.731 1
O16 0.226 0.433 0.345 1
O17 0.226 0.434 0.004 1
O18 0.256 0.092 0.178 1
O19 0.261 0.083 0.505 1
O20 0.264 0.121 0.899 1
O21 0.287 0.085 0.790 1
O22 0.325 0.269 0.118 1
O23 0.329 0.316 0.842 1
O24 0.331 0.292 0.223 1
O25 0.348 0.312 0.506 1
O26 0.384 0.098 0.571 1
O27 0.406 0.102 0.178 1
O28 0.408 0.086 0.859 1
O29 0.408 0.088 0.463 1
O30 0.413 0.377 0.005 1
O31 0.420 0.391 0.342 1
O32 0.426 0.399 0.724 1
O33 0.442 0.402 0.620 1
O34 0.486 0.196 0.678 1
O35 0.497 0.174 0.963 1
O36 0.499 0.162 0.356 1
# uncorrected energy = -1578.90 eV per cell
# DFT formation energy = -2.74 eV per atom

***

Record 4
# Na3Ca4Nb2P3S6O36 | the Materials Project | GGA-PBE | optimized geometry
data_Na3Ca4Nb2P3S6O36
_chemical_formula_sum 'Na6 Ca8 Nb4 P6 S12 O72'
_symmetry_space_group_name_H-M 'P 3 c 1'
_symmetry_Int_Tables_number 158
_symmetry_space_group_name_Hall 'P 3 -2"c'
_cell_length_a 9.0824
_cell_length_b 9.0824
_cell_length_c 23.7050
_cell_angle_alpha 90.00
_cell_angle_beta 90.00
_cell_angle_gamma 120.00
loop_
_atom_site_label
_atom_site_fract_x
_atom_site_fract_y
_atom_site_fract_z
_atom_site_occupancy
Na1 0.0000 0.0000 0.0000 1
Na2 0.3333 0.6667 0.1644 1
Na3 0.6667 0.3333 0.3296 1
Ca1 0.0000 0.0000 0.3537 1
Ca2 0.3333 0.6667 0.0218 1
Ca3 0.6667 0.3333 0.1870 1
Ca4 0.6667 0.3333 0.4831 1
Nb1 0.0000 0.0000 0.1582 1
Nb2 0.3333 0.6667 0.3110 1
P1 0.0062 0.2979 0.2546 1
S1 0.0443 0.3827 0.9154 1
S2 0.3551 0.0332 0.5884 1
O1 0.0272 0.2137 0.9122 1
O2 0.0341 0.2000 0.2011 1
O3 0.1375 0.4663 0.9663 1
O4 0.1428 0.4661 0.5839 1
O5 0.1465 0.4894 0.8634 1
O6 0.1798 0.0191 0.5974 1
O7 0.1816 0.4762 0.2591 1
O8 0.2129 0.0164 0.3067 1
O9 0.4224 0.1305 0.5355 1
O10 0.4596 0.1155 0.6372 1
O11 0.4688 0.1339 0.2424 1
O12 0.4971 0.1219 0.9126 1
# uncorrected energy = -729.89 eV per cell
# DFT formation energy = -2.56 eV per atom